No. 1
A relaxed NdO2 crystal. Source: the Materials Project database, functional PBE.

**Size of the total moment**: 0.33 μB per atom
**SG**: I4/mmm, No. 139

a b c (Å): 3.9383 3.9383 3.9383
angles (deg): 115.66 115.66 97.70
Closest atoms and distances in Å follow each position.
Atoms (fractional coordinates):
1 Nd 0.0000 0.0000 0.0000  8 O 2.46
2 O 0.7500 0.2500 0.5000  4 Nd 2.46, 2 O 2.59
3 O 0.2500 0.7500 0.5000  4 Nd 2.46, 2 O 2.59


No. 2
A relaxed MgPb2 crystal. Source: the Materials Project database, functional PBE.

**Energy above the lowest structure with this stoichiometry**: 0.029 eV per atom
**Size of the total moment**: 0.00 μB per atom
**SG**: Cmcm, No. 63

a b c (Å): 5.9942 5.9942 5.7355
angles (deg): 90.00 90.00 122.10
Closest atoms and distances in Å follow each position.
Atoms (fractional coordinates):
1 Mg 0.8324 0.8324 0.7500  10 Pb 3.35-3.53, 2 Mg 3.47
2 Mg 0.1676 0.1676 0.2500  10 Pb 3.35-3.53, 2 Mg 3.47
3 Pb 0.1659 0.4921 0.7500  5 Mg 3.35-3.53, 7 Pb 3.42-3.52
4 Pb 0.5079 0.8341 0.2500  5 Mg 3.35-3.53, 7 Pb 3.42-3.52
5 Pb 0.8341 0.5079 0.2500  5 Mg 3.35-3.53, 7 Pb 3.42-3.52
6 Pb 0.4921 0.1659 0.7500  5 Mg 3.35-3.53, 7 Pb 3.42-3.52


No. 3
A relaxed Pr3Cu3Sb4 crystal. Source: the Materials Project database, functional PBE.

**SG**: I-43d, No. 220

a b c (Å): 8.4959 8.4959 8.4959
angles (deg): 109.47 109.47 109.47
Closest atoms and distances in Å follow each position.
Atoms (fractional coordinates):
1 Pr 0.8750 0.2500 0.1250  4 Cu 3.00, 4 Sb 3.36
2 Pr 0.6250 0.7500 0.3750  4 Cu 3.00, 4 Sb 3.36
3 Pr 0.2500 0.1250 0.8750  4 Cu 3.00, 4 Sb 3.36
4 Pr 0.7500 0.3750 0.6250  4 Cu 3.00, 4 Sb 3.36
5 Pr 0.1250 0.8750 0.2500  4 Cu 3.00, 4 Sb 3.36
6 Pr 0.3750 0.6250 0.7500  4 Cu 3.00, 4 Sb 3.36
7 Cu 0.3750 0.2500 0.6250  4 Sb 2.73, 4 Pr 3.00
8 Cu 0.1250 0.7500 0.8750  4 Sb 2.73, 4 Pr 3.00
9 Cu 0.2500 0.6250 0.3750  4 Sb 2.73, 4 Pr 3.00
10 Cu 0.7500 0.8750 0.1250  4 Sb 2.73, 4 Pr 3.00
11 Cu 0.6250 0.3750 0.2500  4 Sb 2.73, 4 Pr 3.00
12 Cu 0.8750 0.1250 0.7500  4 Sb 2.73, 4 Pr 3.00
13 Sb 0.6596 0.5000 0.0000  3 Cu 2.73
14 Sb 0.5000 0.0000 0.6596  3 Cu 2.73
15 Sb 0.0000 0.6596 0.5000  3 Cu 2.73
16 Sb 0.8404 0.8404 0.8404  3 Cu 2.73
17 Sb 0.5000 0.0000 0.1596  3 Cu 2.73
18 Sb 0.1596 0.5000 0.0000  3 Cu 2.73
19 Sb 0.0000 0.1596 0.5000  3 Cu 2.73
20 Sb 0.3404 0.3404 0.3404  3 Cu 2.73


No. 4
A relaxed CdPb2N2 crystal. Source: the Materials Project database, functional PBE.

**Energy above the lowest structure with this stoichiometry**: 0.032 eV per atom
**Size of the total moment**: 0.00 μB per atom
**SG**: C2/m, No. 12

a b c (Å): 3.5013 3.5019 9.3268
angles (deg): 90.00 89.94 120.01
Closest atoms and distances in Å follow each position.
Atoms (fractional coordinates):
1 Cd 0.0000 0.0000 0.5000  6 N 2.52
2 Pb 0.6684 0.3342 0.2006  3 N 2.40
3 Pb 0.3316 0.6658 0.7994  3 N 2.40
4 N 0.6654 0.3327 0.6608  3 Pb 2.40, 3 Cd 2.52
5 N 0.3346 0.6673 0.3392  3 Pb 2.40, 3 Cd 2.52


No. 5
A relaxed Rb3MgH5 crystal. Source: the Materials Project database, functional PBE.

**Size of the total moment**: 0.00 μB per atom
**SG**: I4/mcm, No. 140

a b c (Å): 8.3766 8.3766 8.3766
angles (deg): 122.76 122.76 85.28
Closest atoms and distances in Å follow each position.
Atoms (fractional coordinates):
1 Rb 0.1856 0.6856 0.8711  4 H 2.87-2.93
2 Rb 0.8144 0.3144 0.1289  4 H 2.87-2.93
3 Rb 0.6856 0.8144 0.5000  4 H 2.87-2.93
4 Rb 0.3144 0.1856 0.5000  4 H 2.87-2.93
5 Rb 0.2500 0.2500 0.0000  10 H 3.08-3.35
6 Rb 0.7500 0.7500 0.0000  10 H 3.08-3.35
7 Mg 0.2500 0.7500 0.5000  4 H 1.85
8 Mg 0.7500 0.2500 0.5000  4 H 1.85
9 H 0.4710 0.9710 0.7582  1 Mg 1.85
10 H 0.2128 0.7128 0.2418  1 Mg 1.85
11 H 0.9710 0.2128 0.5000  1 Mg 1.85
12 H 0.7128 0.4710 0.5000  1 Mg 1.85
13 H 0.5290 0.0290 0.2418  1 Mg 1.85
14 H 0.7872 0.2872 0.7582  1 Mg 1.85
15 H 0.0290 0.7872 0.5000  1 Mg 1.85
16 H 0.2872 0.5290 0.5000  1 Mg 1.85
17 H 0.5000 0.5000 0.0000  6 Rb 2.93-3.08
18 H 0.0000 0.0000 0.0000  6 Rb 2.93-3.08


No. 6
A relaxed HfI4 crystal. Source: the Materials Project database, functional PBE.

**SG**: C2/c, No. 15

a b c (Å): 8.8648 8.8648 13.2938
angles (deg): 72.52 72.52 89.62
Closest atoms and distances in Å follow each position.
Atoms (fractional coordinates):
1 Hf 0.0606 0.7919 0.1237  4 I 2.71-2.88
2 Hf 0.7919 0.0606 0.6237  4 I 2.71-2.88
3 Hf 0.9394 0.2081 0.8763  4 I 2.71-2.88
4 Hf 0.2081 0.9394 0.3763  4 I 2.71-2.88
5 I 0.0505 0.8318 0.6121  2 Hf 2.88-3.05
6 I 0.0467 0.2718 0.6395  2 Hf 2.88-3.04
7 I 0.7282 0.9533 0.8605  2 Hf 2.88-3.04
8 I 0.5847 0.8277 0.6360  1 Hf 2.71
9 I 0.1723 0.4153 0.8640  1 Hf 2.71
10 I 0.9533 0.7282 0.3605  2 Hf 2.88-3.04
11 I 0.6994 0.3987 0.8898  1 Hf 2.71
12 I 0.1682 0.9495 0.8879  2 Hf 2.88-3.05
13 I 0.4153 0.1723 0.3640  1 Hf 2.71
14 I 0.8277 0.5847 0.1360  1 Hf 2.71
15 I 0.3987 0.6994 0.3898  1 Hf 2.71
16 I 0.6013 0.3006 0.6102  1 Hf 2.71
17 I 0.9495 0.1682 0.3879  2 Hf 2.88-3.05
18 I 0.3006 0.6013 0.1102  1 Hf 2.71
19 I 0.8318 0.0505 0.1121  2 Hf 2.88-3.05
20 I 0.2718 0.0467 0.1395  2 Hf 2.88-3.04


No. 7
A relaxed Cs4Cu3F10 crystal. Source: the Materials Project database, functional PBE.

**SG**: C2/m, No. 12

a b c (Å): 7.7899 7.7899 8.1010
angles (deg): 65.48 65.48 47.66
Closest atoms and distances in Å follow each position.
Atoms (fractional coordinates):
1 Cs 0.8129 0.8129 0.2842  10 F 3.15-3.29
2 Cs 0.1871 0.1871 0.7158  10 F 3.15-3.29
3 Cs 0.4650 0.4650 0.7853  10 F 3.02-3.20
4 Cs 0.5350 0.5350 0.2147  10 F 3.02-3.20
5 Cu 0.1978 0.1978 0.1829  4 F 1.92-2.06
6 Cu 0.8022 0.8022 0.8171  4 F 1.92-2.06
7 Cu 0.0000 0.0000 0.5000  4 F 1.94
8 F 0.8972 0.3225 0.4354  1 Cu 1.94
9 F 0.6784 0.6784 0.7807  1 Cu 1.92
10 F 0.9355 0.9355 0.8291  1 Cu 1.95
11 F 0.1028 0.6775 0.5646  1 Cu 1.94
12 F 0.0645 0.0645 0.1709  1 Cu 1.95
13 F 0.6775 0.1028 0.5646  1 Cu 1.94
14 F 0.3225 0.8972 0.4354  1 Cu 1.94
15 F 0.0000 0.5000 0.0000  2 Cu 2.06
16 F 0.5000 0.0000 0.0000  2 Cu 2.06
17 F 0.3216 0.3216 0.2193  1 Cu 1.92


No. 8
A relaxed SnCl2 crystal. Source: the Materials Project database, functional PBE.

**SG**: Pnma, No. 62

a b c (Å): 4.3537 8.0459 10.0559
angles (deg): 90.00 90.00 90.00
Closest atoms and distances in Å follow each position.
Atoms (fractional coordinates):
1 Sn 0.7500 0.2715 0.0512  3 Cl 2.63-2.78
2 Sn 0.2500 0.7285 0.9488  3 Cl 2.63-2.78
3 Sn 0.2500 0.2285 0.5512  3 Cl 2.63-2.78
4 Sn 0.7500 0.7715 0.4488  3 Cl 2.63-2.78
5 Cl 0.2500 0.0092 0.3573  1 Sn 2.63
6 Cl 0.2500 0.6471 0.5886  2 Sn 2.78
7 Cl 0.2500 0.5092 0.1427  1 Sn 2.63
8 Cl 0.7500 0.9908 0.6427  1 Sn 2.63
9 Cl 0.7500 0.3529 0.4114  2 Sn 2.78
10 Cl 0.7500 0.8529 0.0886  2 Sn 2.78
11 Cl 0.2500 0.1471 0.9114  2 Sn 2.78
12 Cl 0.7500 0.4908 0.8573  1 Sn 2.63


| no. | ΔE_f (eV/atom) |
| --- | --- |
| 1 | -3.070 |
| 2 | 0.021 |
| 3 | -0.847 |
| 4 | 0.384 |
| 5 | -0.288 |
| 6 | -1.217 |
| 7 | -2.399 |
| 8 | -1.402 |